Entry from the Materials Project: a relaxed Li7Mn2Co3O12 crystal (PBE+U).

Properties
Calculated volume: 9.1 A^3/atom
MP2020-corrected energy: -6.51 eV/atom
Crystal system: triclinic
DFT formation energy: -43.90 eV/f.u.

Geometry as POSCAR:
```
Li7Mn2Co3O12
1.0
3.026 0.000 0.000
-1.226 4.952 0.000
-1.053 -1.737 14.627
Co O Mn Li
3 12 2 7
direct
0.343 0.341 0.341
0.651 0.659 0.658
0.675 0.168 0.171
0.007 0.598 0.372
0.325 0.210 0.445
0.013 0.889 0.124
0.988 0.402 0.627
0.697 0.281 0.049
0.307 0.720 0.954
0.675 0.789 0.553
0.644 0.559 0.782
0.649 0.062 0.290
0.322 0.437 0.217
0.025 0.114 0.878
0.346 0.937 0.709
0.327 0.832 0.830
0.005 0.001 0.002
0.333 0.583 0.085
0.667 0.415 0.917
0.005 0.748 0.251
0.000 0.499 0.499
0.668 0.909 0.416
0.333 0.090 0.584
0.994 0.252 0.747
```